Entry 1:
A relaxed structure of CaEuNi4O12. Source: Materials Project, functional PBE with a Hubbard U.

Unit cell a=5.1697 b=5.1697 c=7.1609 alpha=90.00 beta=90.00 gamma=90.00
Space group P4/mmm (No. 123)
Asymmetric unit:
1 Ca 0.0000 0.0000 0.0000 [1 per cell]
2 Eu 0.5000 0.5000 0.5000 [1 per cell]
3 Ni 0.0000 0.5000 0.2499 [4 per cell]
4 O 0.0000 0.5000 0.0000 [2 per cell]
5 O 0.0000 0.5000 0.5000 [2 per cell]
6 O 0.2506 0.2506 0.2499 [8 per cell]

The value obtained for the final energy is -5.1439 eV/atom.

Entry 2:
A relaxed structure of MnOF. Source: Materials Project, functional PBE with a Hubbard U.

Unit cell a=5.1094 b=4.7457 c=5.8498 alpha=90.00 beta=93.13 gamma=90.00
Space group P2_1/c (No. 14)
Asymmetric unit:
1 Mn 0.2273 0.0228 0.1603 [4 per cell]
2 O 0.0750 0.2121 0.8972 [4 per cell]
3 F 0.4341 0.7468 0.3684 [4 per cell]

The value obtained for the final energy is -6.7171 eV/atom.

Entry 3:
A relaxed structure of CaFe4O8. Source: Materials Project, functional PBE with a Hubbard U.

Unit cell a=13.8503 b=3.0948 c=9.4056 alpha=90.00 beta=131.92 gamma=90.00
Space group Cm (No. 8)
Asymmetric unit:
1 Ca 0.0000 0.0000 0.0000 [2 per cell]
2 Fe 0.0672 0.0000 0.3981 [2 per cell]
3 Fe 0.0765 0.5000 0.7345 [2 per cell]
4 Fe 0.2722 0.0000 0.1052 [2 per cell]
5 Fe 0.2741 0.5000 0.4458 [2 per cell]
6 O 0.0556 0.5000 0.5136 [2 per cell]
7 O 0.0778 0.5000 0.2501 [2 per cell]
8 O 0.1191 0.5000 0.9820 [2 per cell]
9 O 0.2019 0.0000 0.8444 [2 per cell]
10 O 0.2593 0.0000 0.5726 [2 per cell]
11 O 0.2706 0.0000 0.3089 [2 per cell]
12 O 0.3815 0.5000 0.1647 [2 per cell]
13 O 0.4585 0.5000 0.6580 [2 per cell]

Its polymorph energy (0 for the lowest one) is 0.0 kJ/mol of formula units.

Entry 4:
A relaxed structure of Ba2Sr6Co5Cu3O20. Source: Materials Project, functional PBE with a Hubbard U.

Unit cell a=11.1249 b=11.1654 c=17.9558 alpha=108.09 beta=107.83 gamma=90.32
Space group P1 (No. 1)
Asymmetric unit:
1 Ba 0.0000 0.0000 0.0000 [1 per cell]
2 Ba 0.0005 0.4979 0.0036 [1 per cell]
3 Ba 0.1244 0.1257 0.7592 [1 per cell]
4 Ba 0.2448 0.2432 0.9983 [1 per cell]
5 Ba 0.3805 0.3826 0.7597 [1 per cell]
6 Ba 0.5014 0.5034 0.0018 [1 per cell]
7 Ba 0.5033 0.0029 0.0024 [1 per cell]
8 Ba 0.7503 0.7512 0.0001 [1 per cell]
9 Sr 0.1346 0.1442 0.2789 [1 per cell]
10 Sr 0.1380 0.6337 0.7686 [1 per cell]
11 Sr 0.1398 0.6382 0.2763 [1 per cell]
12 Sr 0.2454 0.7465 0.4978 [1 per cell]
13 Sr 0.2477 0.2455 0.4948 [1 per cell]
14 Sr 0.2544 0.7436 0.9953 [1 per cell]
15 Sr 0.3858 0.8825 0.7690 [1 per cell]
16 Sr 0.3893 0.8837 0.2763 [1 per cell]
17 Sr 0.3916 0.3809 0.2776 [1 per cell]
18 Sr 0.4970 0.5003 0.4991 [1 per cell]
19 Sr 0.5021 0.0025 0.4961 [1 per cell]
20 Sr 0.6358 0.1405 0.7685 [1 per cell]
21 Sr 0.6368 0.6383 0.7690 [1 per cell]
22 Sr 0.6388 0.6423 0.2763 [1 per cell]
23 Sr 0.6421 0.1438 0.2774 [1 per cell]
24 Sr 0.7502 0.2450 0.4956 [1 per cell]
25 Sr 0.7514 0.2524 0.9972 [1 per cell]
26 Sr 0.7550 0.7474 0.4976 [1 per cell]
27 Sr 0.8812 0.3814 0.7691 [1 per cell]
28 Sr 0.8835 0.3852 0.2745 [1 per cell]
29 Sr 0.8879 0.8785 0.7689 [1 per cell]
30 Sr 0.8884 0.8841 0.2749 [1 per cell]
31 Sr 0.9974 0.4999 0.4948 [1 per cell]
32 Sr 0.9967 0.9992 0.4942 [1 per cell]
33 Co 0.0646 0.8495 0.1404 [1 per cell]
34 Co 0.1843 0.4367 0.8683 [1 per cell]
35 Co 0.1872 0.9299 0.8693 [1 per cell]
36 Co 0.1889 0.4430 0.3839 [1 per cell]
37 Co 0.1959 0.9463 0.3909 [1 per cell]
38 Co 0.3083 0.0355 0.1411 [1 per cell]
39 Co 0.3123 0.5358 0.1429 [1 per cell]
40 Co 0.4375 0.6881 0.8761 [1 per cell]
41 Co 0.4402 0.1889 0.8774 [1 per cell]
42 Co 0.4487 0.1954 0.3888 [1 per cell]
43 Co 0.4500 0.6968 0.3934 [1 per cell]
44 Co 0.6868 0.4384 0.8741 [1 per cell]
45 Co 0.6882 0.9347 0.8666 [1 per cell]
46 Co 0.6959 0.4426 0.3870 [1 per cell]
47 Co 0.6962 0.9399 0.3817 [1 per cell]
48 Co 0.8131 0.0464 0.1444 [1 per cell]
49 Co 0.9316 0.1849 0.8722 [1 per cell]
50 Co 0.9399 0.6842 0.8733 [1 per cell]
51 Co 0.9436 0.6913 0.3829 [1 per cell]
52 Co 0.9481 0.1964 0.3928 [1 per cell]
53 Cu 0.0497 0.3469 0.6292 [1 per cell]
54 Cu 0.0545 0.3356 0.1420 [1 per cell]
55 Cu 0.0564 0.8336 0.6299 [1 per cell]
56 Cu 0.3056 0.5460 0.6292 [1 per cell]
57 Cu 0.3106 0.0366 0.6315 [1 per cell]
58 Cu 0.5537 0.8472 0.1395 [1 per cell]
59 Cu 0.5568 0.8434 0.6319 [1 per cell]
60 Cu 0.5605 0.3417 0.6303 [1 per cell]
61 Cu 0.5607 0.3447 0.1385 [1 per cell]
62 Cu 0.8024 0.0396 0.6320 [1 per cell]
63 Cu 0.8076 0.5409 0.6321 [1 per cell]
64 Cu 0.8121 0.5428 0.1410 [1 per cell]
65 O 0.0109 0.2538 0.0294 [1 per cell]
66 O 0.0111 0.7383 0.5185 [1 per cell]
67 O 0.0151 0.2407 0.5172 [1 per cell]
68 O 0.0329 0.7551 0.0328 [1 per cell]
69 O 0.0538 0.0583 0.8743 [1 per cell]
70 O 0.0541 0.3064 0.8812 [1 per cell]
71 O 0.0591 0.0674 0.3792 [1 per cell]
72 O 0.0588 0.5698 0.3809 [1 per cell]
73 O 0.0672 0.5532 0.8781 [1 per cell]
74 O 0.0757 0.3248 0.3935 [1 per cell]
75 O 0.0805 0.8161 0.8820 [1 per cell]
76 O 0.0813 0.8268 0.3907 [1 per cell]
77 O 0.1164 0.3616 0.7430 [1 per cell]
78 O 0.1310 0.3567 0.2541 [1 per cell]
79 O 0.1319 0.8497 0.7426 [1 per cell]
80 O 0.1373 0.8397 0.2429 [1 per cell]
81 O 0.1447 0.0075 0.1477 [1 per cell]
82 O 0.1458 0.4932 0.6314 [1 per cell]
83 O 0.1495 0.9692 0.6201 [1 per cell]
84 O 0.1608 0.4894 0.1471 [1 per cell]
85 O 0.2626 0.5299 0.5180 [1 per cell]
86 O 0.2724 0.0279 0.0349 [1 per cell]
87 O 0.2721 0.0316 0.5218 [1 per cell]
88 O 0.2788 0.5487 0.0420 [1 per cell]
89 O 0.3056 0.0540 0.8764 [1 per cell]
90 O 0.3093 0.0563 0.3806 [1 per cell]
91 O 0.3094 0.5627 0.8761 [1 per cell]
92 O 0.3101 0.3145 0.8817 [1 per cell]
93 O 0.3100 0.5575 0.3816 [1 per cell]
94 O 0.3245 0.8095 0.8817 [1 per cell]
95 O 0.3289 0.3076 0.3898 [1 per cell]
96 O 0.3316 0.8106 0.3923 [1 per cell]
97 O 0.3801 0.1300 0.7446 [1 per cell]
98 O 0.3796 0.6397 0.7422 [1 per cell]
99 O 0.3852 0.8839 0.1385 [1 per cell]
100 O 0.3906 0.1444 0.2446 [1 per cell]
101 O 0.3906 0.6507 0.2426 [1 per cell]
102 O 0.3952 0.8835 0.6321 [1 per cell]
103 O 0.3971 0.3969 0.1436 [1 per cell]
104 O 0.4011 0.4024 0.6197 [1 per cell]
105 O 0.5121 0.7536 0.0242 [1 per cell]
106 O 0.5203 0.2559 0.0233 [1 per cell]
107 O 0.5205 0.7416 0.5221 [1 per cell]
108 O 0.5219 0.2408 0.5199 [1 per cell]
109 O 0.5568 0.5748 0.3809 [1 per cell]
110 O 0.5587 0.0743 0.3806 [1 per cell]
111 O 0.5592 0.0771 0.8774 [1 per cell]
112 O 0.5601 0.5743 0.8750 [1 per cell]
113 O 0.5717 0.3273 0.8817 [1 per cell]
114 O 0.5754 0.8328 0.8817 [1 per cell]
115 O 0.5777 0.3321 0.3932 [1 per cell]
116 O 0.5813 0.8312 0.3934 [1 per cell]
117 O 0.6295 0.3556 0.2504 [1 per cell]
118 O 0.6306 0.3571 0.7422 [1 per cell]
119 O 0.6336 0.8592 0.2535 [1 per cell]
120 O 0.6336 0.8603 0.7440 [1 per cell]
121 O 0.6390 0.9966 0.6310 [1 per cell]
122 O 0.6468 0.4978 0.6333 [1 per cell]
123 O 0.6561 0.4942 0.1470 [1 per cell]
124 O 0.6556 0.9946 0.1470 [1 per cell]
125 O 0.7663 0.5221 0.0286 [1 per cell]
126 O 0.7679 0.5291 0.5213 [1 per cell]
127 O 0.7719 0.0286 0.5227 [1 per cell]
128 O 0.7744 0.0479 0.0411 [1 per cell]
129 O 0.8084 0.0658 0.8770 [1 per cell]
130 O 0.8081 0.5558 0.8766 [1 per cell]
131 O 0.8078 0.5609 0.3812 [1 per cell]
132 O 0.8140 0.0640 0.3828 [1 per cell]
133 O 0.8146 0.3110 0.8837 [1 per cell]
134 O 0.8218 0.8129 0.8800 [1 per cell]
135 O 0.8268 0.3134 0.3903 [1 per cell]
136 O 0.8290 0.8138 0.3896 [1 per cell]
137 O 0.8638 0.1364 0.7449 [1 per cell]
138 O 0.8828 0.6347 0.7438 [1 per cell]
139 O 0.8849 0.1485 0.2499 [1 per cell]
140 O 0.8883 0.3866 0.6315 [1 per cell]
141 O 0.8885 0.6431 0.2521 [1 per cell]
142 O 0.8952 0.3893 0.1384 [1 per cell]
143 O 0.8993 0.8962 0.6345 [1 per cell]
144 O 0.8991 0.8965 0.1441 [1 per cell]

The value obtained for the final energy is -5.8634 eV/atom.